Computed, not measured: a relaxed structure of RbLa2C6N6ClO6 at the PBE level of DFT.

Properties
**Electronic total energy**: -0.5880 Ry per atom

a = 6.840 Å, b = 6.840 Å, c = 14.728 Å
α = 90.00°, β = 90.00°, γ = 120.00°
Positions (direct):
Rb: 0.667 0.333 0.250
Rb: 0.333 0.667 0.750
La: 0.333 0.667 0.052
La: 0.667 0.333 0.552
La: 0.667 0.333 0.948
La: 0.333 0.667 0.448
C: 0.955 0.167 0.097
C: 0.833 0.788 0.097
C: 0.212 0.045 0.097
C: 0.045 0.833 0.597
C: 0.167 0.212 0.597
C: 0.788 0.955 0.597
C: 0.045 0.833 0.903
C: 0.167 0.212 0.903
C: 0.788 0.955 0.903
C: 0.955 0.167 0.403
C: 0.833 0.788 0.403
C: 0.212 0.045 0.403
N: 0.175 0.221 0.101
N: 0.779 0.955 0.101
N: 0.045 0.825 0.101
N: 0.825 0.779 0.601
N: 0.221 0.045 0.601
N: 0.955 0.175 0.601
N: 0.825 0.779 0.899
N: 0.221 0.045 0.899
N: 0.955 0.175 0.899
N: 0.175 0.221 0.399
N: 0.779 0.955 0.399
N: 0.045 0.825 0.399
Cl: 0.333 0.667 0.250
Cl: 0.667 0.333 0.750
O: 0.922 0.337 0.083
O: 0.663 0.585 0.083
O: 0.415 0.078 0.083
O: 0.078 0.663 0.583
O: 0.337 0.415 0.583
O: 0.585 0.922 0.583
O: 0.078 0.663 0.917
O: 0.337 0.415 0.917
O: 0.585 0.922 0.917
O: 0.922 0.337 0.417
O: 0.663 0.585 0.417
O: 0.415 0.078 0.417


Computed, not measured: a relaxed structure of InPb2F7 at the PBE level of DFT.

Properties
**Electronic total energy**: -0.3514 Ry per atom

a = 12.579 Å, b = 5.742 Å, c = 8.492 Å
α = 89.35°, β = 90.00°, γ = 90.00°
Positions (direct):
In: 0.126 0.275 0.221
In: 0.874 0.725 0.779
In: 0.626 0.725 0.279
In: 0.374 0.275 0.721
Pb: 0.786 0.226 0.055
Pb: 0.214 0.774 0.945
Pb: 0.286 0.774 0.445
Pb: 0.714 0.226 0.555
Pb: 0.440 0.235 0.177
Pb: 0.560 0.765 0.823
Pb: 0.940 0.765 0.323
Pb: 0.060 0.235 0.677
F: 0.075 0.608 0.125
F: 0.925 0.392 0.875
F: 0.575 0.392 0.375
F: 0.425 0.608 0.625
F: 0.129 0.165 0.981
F: 0.871 0.835 0.019
F: 0.629 0.835 0.519
F: 0.371 0.165 0.481
F: 0.105 0.480 0.430
F: 0.895 0.520 0.570
F: 0.605 0.520 0.070
F: 0.395 0.480 0.930
F: 0.541 0.197 0.718
F: 0.459 0.803 0.282
F: 0.041 0.803 0.782
F: 0.959 0.197 0.218
F: 0.258 0.014 0.199
F: 0.742 0.986 0.801
F: 0.758 0.986 0.301
F: 0.242 0.014 0.699
F: 0.273 0.475 0.216
F: 0.727 0.525 0.784
F: 0.773 0.525 0.284
F: 0.227 0.475 0.716
F: 0.107 0.011 0.410
F: 0.893 0.989 0.590
F: 0.607 0.989 0.090
F: 0.393 0.011 0.910


Computed, not measured: a relaxed structure of NaPdN at the PBE level of DFT.

Properties
**Energy relative to the lowest polymorph listed for this composition**: 0.20 eV per formula unit
**Electronic total energy**: -0.3372 Ry per atom

a = 3.116 Å, b = 3.116 Å, c = 10.547 Å
α = 90.00°, β = 90.00°, γ = 120.00°
Positions (direct):
Na: 0.667 0.333 0.750
Na: 0.333 0.667 0.250
Pd: 0.000 0.000 0.501
Pd: 0.000 0.000 0.001
N: 0.333 0.667 0.593
N: 0.667 0.333 0.093


Computed, not measured: a relaxed structure of CaAg2O4 at the PBE level of DFT.

Properties
**Energy relative to the lowest polymorph listed for this composition**: 1.61 eV per formula unit
**Electronic total energy**: -0.3416 Ry per atom

a = 6.638 Å, b = 6.638 Å, c = 16.216 Å
α = 90.00°, β = 90.00°, γ = 120.00°
Positions (direct):
Ca: 0.667 0.333 0.942
Ca: 0.333 0.667 0.614
Ca: 0.000 0.000 0.667
Ca: 0.000 0.000 0.271
Ca: 0.333 0.667 0.003
Ca: 0.333 0.667 0.385
Ag: 0.167 0.335 0.834
Ag: 0.665 0.833 0.834
Ag: 0.836 0.671 0.500
Ag: 0.167 0.833 0.834
Ag: 0.329 0.164 0.500
Ag: 0.667 0.333 0.335
Ag: 0.667 0.333 0.716
Ag: 0.500 0.001 0.166
Ag: 0.836 0.164 0.500
Ag: 0.999 0.500 0.166
Ag: 0.500 0.500 0.166
Ag: 0.000 0.000 0.046
O: 0.479 0.958 0.902
O: 0.333 0.667 0.751
O: 0.042 0.521 0.902
O: 0.479 0.521 0.902
O: 0.148 0.296 0.566
O: 0.851 0.149 0.770
O: 0.000 0.000 0.411
O: 0.298 0.149 0.770
O: 0.000 0.000 0.916
O: 0.704 0.852 0.566
O: 0.148 0.852 0.566
O: 0.851 0.702 0.770
O: 0.808 0.616 0.235
O: 0.523 0.477 0.433
O: 0.954 0.477 0.433
O: 0.667 0.333 0.082
O: 0.667 0.333 0.585
O: 0.384 0.192 0.235
O: 0.808 0.192 0.235
O: 0.523 0.046 0.433
O: 0.181 0.819 0.102
O: 0.638 0.819 0.102
O: 0.333 0.667 0.247
O: 0.181 0.362 0.102


Computed, not measured: a relaxed structure of Tl3AgI5 at the PBE level of DFT.

Properties
**Electronic total energy**: -0.1791 Ry per atom

a = 10.809 Å, b = 10.809 Å, c = 13.513 Å
α = 90.00°, β = 90.00°, γ = 120.00°
Positions (direct):
Tl: 0.966 0.615 0.750
Tl: 0.385 0.351 0.750
Tl: 0.649 0.034 0.750
Tl: 0.034 0.649 0.250
Tl: 0.351 0.385 0.250
Tl: 0.615 0.966 0.250
Tl: 0.363 0.000 0.500
Tl: 0.637 0.637 0.000
Tl: 0.000 0.363 0.000
Tl: 0.000 0.363 0.500
Tl: 0.637 0.637 0.500
Tl: 0.363 0.000 0.000
Ag: 0.000 0.000 0.380
Ag: 0.000 0.000 0.880
Ag: 0.000 0.000 0.620
Ag: 0.000 0.000 0.120
I: 0.667 0.333 0.898
I: 0.667 0.333 0.602
I: 0.333 0.667 0.102
I: 0.333 0.667 0.398
I: 0.006 0.244 0.750
I: 0.756 0.763 0.750
I: 0.237 0.994 0.750
I: 0.994 0.237 0.250
I: 0.667 0.333 0.358
I: 0.333 0.667 0.858
I: 0.333 0.667 0.642
I: 0.667 0.333 0.142
I: 0.755 0.000 0.000
I: 0.245 0.245 0.500
I: 0.000 0.755 0.500
I: 0.000 0.755 0.000
I: 0.245 0.245 0.000
I: 0.755 0.000 0.500
I: 0.244 0.006 0.250
I: 0.763 0.756 0.250


Computed, not measured: a relaxed structure of Ca2SnS4 at the PBE level of DFT.

Properties
**Energy relative to the lowest polymorph listed for this composition**: 2.01 eV per formula unit
**Electronic total energy**: -0.3391 Ry per atom

a = 3.716 Å, b = 13.212 Å, c = 13.429 Å
α = 90.00°, β = 90.00°, γ = 90.00°
Positions (direct):
Ca: 0.750 0.395 0.422
Ca: 0.750 0.895 0.078
Ca: 0.250 0.605 0.578
Ca: 0.250 0.105 0.922
Ca: 0.750 0.354 0.781
Ca: 0.750 0.854 0.719
Ca: 0.250 0.646 0.219
Ca: 0.250 0.146 0.281
Sn: 0.250 0.372 0.081
Sn: 0.250 0.872 0.419
Sn: 0.750 0.628 0.919
Sn: 0.750 0.128 0.581
S: 0.250 0.202 0.729
S: 0.250 0.702 0.771
S: 0.750 0.798 0.271
S: 0.750 0.298 0.229
S: 0.250 0.038 0.116
S: 0.250 0.538 0.384
S: 0.750 0.962 0.884
S: 0.750 0.462 0.616
S: 0.750 0.271 0.977
S: 0.750 0.771 0.523
S: 0.250 0.729 0.023
S: 0.250 0.229 0.477
S: 0.250 0.482 0.896
S: 0.250 0.982 0.604
S: 0.750 0.518 0.104
S: 0.750 0.018 0.396